Record 1
Here is MoP2O8 after structural relaxation from the Materials Project database. Energies are from PBE with a Hubbard U.

a b c (Å): 5.245 10.988 11.495
angles (deg): 90.00 90.00 90.00
Space group P2_12_12_1 (No. 19)
Asymmetric unit:
Mo  0.248  0.093  0.346 x4
P  0.249  0.362  0.835 x4
P  0.249  0.595  0.962 x4
O  0.006  0.558  0.030 x4
O  0.009  0.341  0.755 x4
O  0.015  0.441  0.536 x4
O  0.023  0.660  0.248 x4
O  0.244  0.706  0.444 x4
O  0.245  0.952  0.288 x4
O  0.246  0.490  0.349 x4
O  0.250  0.276  0.422 x4

- Offset from the most stable computed form: 0.08 kcal/mol of atoms
- ΔE_f: -2.33 eV per atom
- Theoretical density: 2.87 g cm⁻³
- Piezoelectric modulus e_max: 0.02 C/m2
- Total moment: 0.00 μB/f.u.
- Final energy: -7.104 eV/atom

Record 2
Here is Li3Fe3O8 after structural relaxation from the Materials Project database. Energies are from PBE with a Hubbard U.

a b c (Å): 5.840 5.894 10.173
angles (deg): 74.15 73.34 60.33
Space group P-1 (No. 2)
Asymmetric unit:
Li  0.061  0.049  0.329 x2
Li  0.252  0.252  0.750 x2
Li  0.438  0.451  0.171 x2
Fe  0.000  0.000  0.000 x1
Fe  0.000  0.500  0.000 x1
Fe  0.000  0.500  0.500 x1
Fe  0.500  0.000  0.000 x1
Fe  0.500  0.000  0.500 x1
Fe  0.500  0.500  0.500 x1
O  0.100  0.648  0.102 x2
O  0.147  0.153  0.601 x2
O  0.149  0.601  0.606 x2
O  0.157  0.112  0.116 x2
O  0.354  0.900  0.893 x2
O  0.358  0.345  0.897 x2
O  0.387  0.384  0.383 x2
O  0.401  0.846  0.397 x2

- Offset from the most stable computed form: 0.03 kcal/mol of atoms
- ΔE_f: -1.60 eV per atom
- Theoretical density: 3.65 g cm⁻³
- Total moment: 11.00 μB/f.u.
- Final energy: -5.779 eV/atom

Record 3
Here is Sm2Mn2O7 after structural relaxation from the Materials Project database. Energies are from PBE with a Hubbard U.

a b c (Å): 10.189 10.189 10.189
angles (deg): 90.00 90.00 90.00
Space group Fd-3m (No. 227, origin choice 2)
Asymmetric unit:
Sm  0.000  0.000  0.000 x16
Mn  0.000  0.000  0.500 x16
O  0.077  0.375  0.875 x48
O  0.125  0.125  0.125 x8

- ΔE_f: -2.82 eV per atom
- Theoretical density: 6.56 g cm⁻³
- Final energy: -7.749 eV/atom

Record 4
Here is ZnFe2O4 after structural relaxation from the Materials Project database. Energies are from PBE with a Hubbard U.

a b c (Å): 6.0517 6.0517 29.6079
angles (deg): 90.00 90.00 120.00
Space group P3m1 (No. 156)
Asymmetric unit:
Zn  0.0000  0.0000  0.0000 x1
Zn  0.0000  0.0000  0.1228 x1
Zn  0.0000  0.0000  0.3111 x1
Zn  0.0000  0.0000  0.4998 x1
Zn  0.0000  0.0000  0.6247 x1
Zn  0.3333  0.6667  0.1444 x1
Zn  0.3333  0.6667  0.4581 x1
Zn  0.3333  0.6667  0.8330 x1
Zn  0.3333  0.6667  0.9578 x1
Zn  0.6667  0.3333  0.2900 x1
Zn  0.6667  0.3333  0.6665 x1
Zn  0.6667  0.3333  0.7913 x1
Fe  0.0000  0.0000  0.8125 x1
Fe  0.0002  0.5001  0.5622 x3
Fe  0.0038  0.5019  0.0621 x3
Fe  0.1641  0.3281  0.2288 x3
Fe  0.1665  0.3330  0.7289 x3
Fe  0.3333  0.6667  0.3331 x1
Fe  0.3333  0.6667  0.6457 x1
Fe  0.3341  0.1670  0.8958 x3
Fe  0.3351  0.1676  0.3953 x3
Fe  0.6667  0.3333  0.1670 x1
Fe  0.6667  0.3333  0.4790 x1
Fe  0.6667  0.3333  0.9793 x1
O  0.0000  0.0000  0.1918 x1
O  0.0000  0.0000  0.4310 x1
O  0.0000  0.0000  0.6920 x1
O  0.0000  0.0000  0.9318 x1
O  0.0145  0.5073  0.1899 x3
O  0.0275  0.5137  0.6885 x3
O  0.1530  0.3060  0.8553 x3
O  0.1611  0.3221  0.3565 x3
O  0.1773  0.3545  0.1001 x3
O  0.1802  0.3604  0.6018 x3
O  0.3063  0.1531  0.7684 x3
O  0.3112  0.1556  0.2671 x3
O  0.3333  0.6667  0.0251 x1
O  0.3333  0.6667  0.2671 x1
O  0.3333  0.6667  0.5254 x1
O  0.3333  0.6667  0.7651 x1
O  0.3606  0.1803  0.5218 x3
O  0.3633  0.1817  0.0218 x3
O  0.5140  0.0281  0.4352 x3
O  0.5140  0.0280  0.9356 x3
O  0.6667  0.3333  0.1011 x1
O  0.6667  0.3333  0.3586 x1
O  0.6667  0.3333  0.5984 x1
O  0.6667  0.3333  0.8588 x1

- Offset from the most stable computed form: 0.55 kcal/mol of atoms
- ΔE_f: -1.72 eV per atom
- Theoretical density: 5.12 g cm⁻³
- Total moment: 10.00 μB/f.u.
- Final energy: -6.111 eV/atom